[1]
{
  "formula": "ZnS",
  "functional": "PBE",
  "state": "relaxed",
  "formation_enthalpy_0k_mev_per_atom": -1062,
  "final_energy_ev_per_atom": -3.509,
  "magnetic_moment_mub_per_fu": 0.00,
  "vol_a3_per_atom": 20.25,
  "energy_mp2020_ev_per_cell": -255.7,
  "cell": [[3.8532, 0.0000, 0.0000], [-1.9266, 3.3370, 0.0000], [0.0000, 0.0000, 107.0723]],
  "species": ["Zn", "Zn", "Zn", "Zn", "Zn", "Zn", "Zn", "Zn", "Zn", "Zn", "Zn", "Zn", "Zn", "Zn", "Zn", "Zn", "Zn", "Zn", "Zn", "Zn", "Zn", "Zn", "Zn", "Zn", "Zn", "Zn", "Zn", "Zn", "Zn", "Zn", "Zn", "Zn", "Zn", "Zn", "S", "S", "S", "S", "S", "S", "S", "S", "S", "S", "S", "S", "S", "S", "S", "S", "S", "S", "S", "S", "S", "S", "S", "S", "S", "S", "S", "S", "S", "S", "S", "S", "S", "S"],
  "frac_coords": [[0.0000, 0.0000, 0.0000], [0.0000, 0.0000, 0.0588], [0.0000, 0.0000, 0.1470], [0.0000, 0.0000, 0.2059], [0.0000, 0.0000, 0.2941], [0.0000, 0.0000, 0.3530], [0.0000, 0.0000, 0.4412], [0.0000, 0.0000, 0.5002], [0.0000, 0.0000, 0.5593], [0.0000, 0.0000, 0.6179], [0.0000, 0.0000, 0.7059], [0.0000, 0.0000, 0.7941], [0.0000, 0.0000, 0.8824], [0.3333, 0.6667, 0.0294], [0.3333, 0.6667, 0.1176], [0.3333, 0.6667, 0.2353], [0.3333, 0.6667, 0.3235], [0.3333, 0.6667, 0.4118], [0.3333, 0.6667, 0.5297], [0.3333, 0.6667, 0.6471], [0.3333, 0.6667, 0.7353], [0.3333, 0.6667, 0.8530], [0.3333, 0.6667, 0.9412], [0.6667, 0.3333, 0.0882], [0.6667, 0.3333, 0.1765], [0.6667, 0.3333, 0.2647], [0.6667, 0.3333, 0.3824], [0.6667, 0.3333, 0.4706], [0.6667, 0.3333, 0.5886], [0.6667, 0.3333, 0.6765], [0.6667, 0.3333, 0.7647], [0.6667, 0.3333, 0.8236], [0.6667, 0.3333, 0.9118], [0.6667, 0.3333, 0.9706], [0.0000, 0.0000, 0.0220], [0.0000, 0.0000, 0.0809], [0.0000, 0.0000, 0.1691], [0.0000, 0.0000, 0.2279], [0.0000, 0.0000, 0.3161], [0.0000, 0.0000, 0.3750], [0.0000, 0.0000, 0.4632], [0.0000, 0.0000, 0.5223], [0.0000, 0.0000, 0.5813], [0.0000, 0.0000, 0.6398], [0.0000, 0.0000, 0.7279], [0.0000, 0.0000, 0.8162], [0.0000, 0.0000, 0.9044], [0.3333, 0.6667, 0.0515], [0.3333, 0.6667, 0.1397], [0.3333, 0.6667, 0.2574], [0.3333, 0.6667, 0.3456], [0.3333, 0.6667, 0.4338], [0.3333, 0.6667, 0.5519], [0.3333, 0.6667, 0.6691], [0.3333, 0.6667, 0.7573], [0.3333, 0.6667, 0.8750], [0.3333, 0.6667, 0.9633], [0.6667, 0.3333, 0.1103], [0.6667, 0.3333, 0.1985], [0.6667, 0.3333, 0.2868], [0.6667, 0.3333, 0.4044], [0.6667, 0.3333, 0.4928], [0.6667, 0.3333, 0.6106], [0.6667, 0.3333, 0.6985], [0.6667, 0.3333, 0.7867], [0.6667, 0.3333, 0.8456], [0.6667, 0.3333, 0.9338], [0.6667, 0.3333, 0.9927]]
}

=====

[2]
{
  "formula": "ZnS",
  "functional": "PBE",
  "state": "relaxed",
  "formation_enthalpy_0k_mev_per_atom": -608,
  "final_energy_ev_per_atom": -3.055,
  "magnetic_moment_mub_per_fu": 0.00,
  "vol_a3_per_atom": 24.26,
  "energy_mp2020_ev_per_cell": -330.6,
  "cell": [[12.3906, 0.0000, 0.0000], [0.9387, 13.8243, 0.0000], [0.9399, 0.4180, 14.1603]],
  "species": ["Zn", "Zn", "Zn", "Zn", "Zn", "Zn", "Zn", "Zn", "Zn", "Zn", "Zn", "Zn", "Zn", "Zn", "Zn", "Zn", "Zn", "Zn", "Zn", "Zn", "Zn", "Zn", "Zn", "Zn", "Zn", "Zn", "Zn", "Zn", "Zn", "Zn", "Zn", "Zn", "Zn", "Zn", "Zn", "Zn", "Zn", "Zn", "Zn", "Zn", "Zn", "Zn", "Zn", "Zn", "Zn", "Zn", "Zn", "Zn", "Zn", "Zn", "S", "S", "S", "S", "S", "S", "S", "S", "S", "S", "S", "S", "S", "S", "S", "S", "S", "S", "S", "S", "S", "S", "S", "S", "S", "S", "S", "S", "S", "S", "S", "S", "S", "S", "S", "S", "S", "S", "S", "S", "S", "S", "S", "S", "S", "S", "S", "S", "S", "S"],
  "frac_coords": [[0.0000, 0.0000, 0.0000], [0.0018, 0.6101, 0.1224], [0.0454, 0.7254, 0.3320], [0.0554, 0.1532, 0.1706], [0.0713, 0.1879, 0.4627], [0.0843, 0.3722, 0.1896], [0.0893, 0.3845, 0.5920], [0.0967, 0.4237, 0.7721], [0.1438, 0.9374, 0.4766], [0.2066, 0.8742, 0.9378], [0.2075, 0.9138, 0.1725], [0.2788, 0.1366, 0.3153], [0.2937, 0.5055, 0.6646], [0.2984, 0.7555, 0.6539], [0.3118, 0.4092, 0.9310], [0.3181, 0.4437, 0.2462], [0.3242, 0.0924, 0.9923], [0.3246, 0.6301, 0.8367], [0.3302, 0.1923, 0.4708], [0.3334, 0.6832, 0.4183], [0.3407, 0.1781, 0.7449], [0.3613, 0.5582, 0.0821], [0.3837, 0.9829, 0.5616], [0.3874, 0.9501, 0.7819], [0.4245, 0.7652, 0.0875], [0.4568, 0.4355, 0.4453], [0.4871, 0.6239, 0.5019], [0.5777, 0.6331, 0.2305], [0.5889, 0.2927, 0.2411], [0.6160, 0.7278, 0.0608], [0.6208, 0.2274, 0.0023], [0.6342, 0.4359, 0.6014], [0.6499, 0.7239, 0.7932], [0.6532, 0.5369, 0.0892], [0.6579, 0.9536, 0.6461], [0.7017, 0.8451, 0.2623], [0.7344, 0.0151, 0.0899], [0.7561, 0.2231, 0.6110], [0.7580, 0.4490, 0.7950], [0.7624, 0.6201, 0.2783], [0.7766, 0.2527, 0.4450], [0.8068, 0.0264, 0.8395], [0.8229, 0.8173, 0.4860], [0.8328, 0.3286, 0.1571], [0.8669, 0.7848, 0.9715], [0.8769, 0.9483, 0.5775], [0.8843, 0.5601, 0.9633], [0.9493, 0.4942, 0.6714], [0.9534, 0.9537, 0.2911], [0.9944, 0.5454, 0.4473], [0.0138, 0.6714, 0.9763], [0.1000, 0.2342, 0.3069], [0.1184, 0.8713, 0.3176], [0.1188, 0.4875, 0.3019], [0.1317, 0.6197, 0.2257], [0.1523, 0.6258, 0.4923], [0.1651, 0.0353, 0.9334], [0.1728, 0.2372, 0.5718], [0.1728, 0.5779, 0.7749], [0.2343, 0.4896, 0.5121], [0.2371, 0.7872, 0.0766], [0.2402, 0.0710, 0.1626], [0.2450, 0.4280, 0.0938], [0.2486, 0.3207, 0.8183], [0.2726, 0.0387, 0.6786], [0.2918, 0.8472, 0.5148], [0.2943, 0.8003, 0.8117], [0.3927, 0.6027, 0.2331], [0.4236, 0.3343, 0.3299], [0.4248, 0.6249, 0.6622], [0.4325, 0.5349, 0.9321], [0.4400, 0.2153, 0.0531], [0.4404, 0.3774, 0.6036], [0.4413, 0.0819, 0.8583], [0.4502, 0.2271, 0.5994], [0.4877, 0.1559, 0.1832], [0.5338, 0.8218, 0.3378], [0.5603, 0.8578, 0.7420], [0.5617, 0.0215, 0.1661], [0.5619, 0.9757, 0.5058], [0.5767, 0.8246, 0.4730], [0.6222, 0.5090, 0.4547], [0.6596, 0.3593, 0.0918], [0.6810, 0.3305, 0.7211], [0.6903, 0.5844, 0.7043], [0.7316, 0.6825, 0.9281], [0.7470, 0.8411, 0.1038], [0.7573, 0.2430, 0.2897], [0.7631, 0.1237, 0.9636], [0.7818, 0.0620, 0.6827], [0.7907, 0.9303, 0.3599], [0.8443, 0.6379, 0.6733], [0.8581, 0.5175, 0.1563], [0.8827, 0.6773, 0.3934], [0.9017, 0.4249, 0.8798], [0.9210, 0.4171, 0.5197], [0.9281, 0.0357, 0.1485], [0.9349, 0.9112, 0.8826], [0.9965, 0.0383, 0.4751], [0.9990, 0.2910, 0.0836]]
}